The following is a PBE calculation of a geometry-optimized La4FeS7 structure, from Materials Project.

Calculated values
- Spin magnetization: 0.333 μB/atom
- Energy of formation: -2.041 eV per atom

Cell: 6.955 9.948 9.962 Å, 119.84 89.75 91.17°
Atoms (fractional coordinates):
La: 0.729 0.773 0.147
La: 0.724 0.374 0.222
La: 0.725 0.848 0.627
La: 0.224 0.220 0.848
La: 0.223 0.626 0.776
La: 0.232 0.149 0.375
La: 0.190 0.671 0.330
La: 0.691 0.343 0.669
Fe: 0.505 0.005 0.010
Fe: 0.006 0.999 0.007
S: 0.304 0.867 0.098
S: 0.318 0.230 0.133
S: 0.334 0.903 0.772
S: 0.831 0.129 0.904
S: 0.827 0.762 0.863
S: 0.798 0.093 0.224
S: 0.971 0.929 0.438
S: 0.969 0.510 0.069
S: 0.971 0.563 0.487
S: 0.473 0.076 0.564
S: 0.469 0.492 0.928
S: 0.470 0.442 0.511
S: 0.576 0.666 0.332
S: 0.077 0.329 0.664



The following is a PBE calculation of a geometry-optimized La3Fe2S7 structure, from Materials Project.

Calculated values
- Spin magnetization: 0.580 μB/atom
- Energy of formation: -1.746 eV per atom
- Energy above the most stable polymorph in this dataset: 0 meV/atom

Cell: 10.164 10.164 5.938 Å, 90.00 90.00 120.00°
Atoms (fractional coordinates):
La: 0.626 0.858 0.725
La: 0.858 0.232 0.225
La: 0.768 0.626 0.225
La: 0.232 0.374 0.725
La: 0.142 0.768 0.725
La: 0.374 0.142 0.225
Fe: 0.667 0.333 0.639
Fe: 0.333 0.667 0.139
Fe: 0.000 0.000 0.006
Fe: 0.000 0.000 0.506
S: 0.419 0.904 0.005
S: 0.667 0.333 0.014
S: 0.904 0.484 0.505
S: 0.516 0.419 0.505
S: 0.787 0.919 0.260
S: 0.919 0.132 0.760
S: 0.868 0.787 0.760
S: 0.333 0.667 0.514
S: 0.132 0.213 0.260
S: 0.081 0.868 0.260
S: 0.213 0.081 0.760
S: 0.484 0.581 0.005
S: 0.096 0.516 0.005
S: 0.581 0.096 0.505